Record 1
# CaAl2B2O7

Crystalline CaAl2B2O7 at its relaxed geometry (PBE, Materials Project).

Unit cell a=15.960 b=15.960 c=15.960 alpha=17.53 beta=17.53 gamma=17.53
Element x y z (fractional)
1 O 0.564 0.903 0.128
2 O 0.403 0.064 0.628
3 O 0.872 0.436 0.097
4 O 0.250 0.250 0.250
5 O 0.628 0.403 0.064
6 O 0.064 0.628 0.403
7 O 0.436 0.097 0.872
8 O 0.372 0.597 0.936
9 O 0.903 0.128 0.564
10 O 0.597 0.936 0.372
11 O 0.750 0.750 0.750
12 O 0.097 0.872 0.436
13 O 0.128 0.564 0.903
14 O 0.936 0.372 0.597
15 B 0.134 0.134 0.134
16 B 0.634 0.634 0.634
17 B 0.366 0.366 0.366
18 B 0.866 0.866 0.866
19 Ca 0.000 0.000 0.000
20 Ca 0.500 0.500 0.500
21 Al 0.286 0.286 0.286
22 Al 0.786 0.786 0.786
23 Al 0.714 0.714 0.714
24 Al 0.214 0.214 0.214

Values from the calculation:
The size of the total moment comes out at 0.000 μB per atom. The calculation puts the energy relative to the elements at -3.267 eV/atom. Its energy with MP2020 corrections is -8.06 eV per atom.



Record 2
# CaAlBO4

Crystalline CaAlBO4 at its relaxed geometry (PBE, Materials Project).

Unit cell a=8.760 b=8.760 c=5.805 alpha=90.00 beta=90.00 gamma=123.00
Element x y z (fractional)
1 O 0.265 0.798 0.989
2 O 0.735 0.202 0.989
3 O 0.819 0.544 0.193
4 O 0.798 0.265 0.489
5 O 0.181 0.456 0.193
6 O 0.477 0.209 0.277
7 O 0.927 0.811 0.957
8 O 0.791 0.523 0.777
9 O 0.523 0.791 0.277
10 O 0.811 0.927 0.457
11 O 0.544 0.819 0.693
12 O 0.073 0.189 0.957
13 O 0.202 0.735 0.489
14 O 0.189 0.073 0.457
15 O 0.456 0.181 0.693
16 O 0.209 0.477 0.777
17 B 0.846 0.626 0.978
18 B 0.626 0.846 0.478
19 B 0.154 0.374 0.978
20 B 0.374 0.154 0.478
21 Ca 0.236 0.049 0.003
22 Ca 0.951 0.764 0.503
23 Ca 0.049 0.236 0.503
24 Ca 0.764 0.951 0.003
25 Al 0.304 0.715 0.737
26 Al 0.285 0.696 0.237
27 Al 0.696 0.285 0.737
28 Al 0.715 0.304 0.237

Values from the calculation:
The size of the total moment comes out at 0.000 μB per atom. The calculation puts the energy relative to the elements at -3.322 eV/atom. Its energy with MP2020 corrections is -7.93 eV per atom.



Record 3
# Ca3YAl3B4O15

Crystalline Ca3YAl3B4O15 at its relaxed geometry (PBE, Materials Project).

Unit cell a=11.690 b=10.527 c=10.528 alpha=60.01 beta=90.00 gamma=90.00
Element x y z (fractional)
1 Al 0.373 0.514 0.996
2 Al 0.371 0.008 0.492
3 Al 0.126 0.009 0.494
4 Al 0.874 0.515 0.996
5 Al 0.874 0.508 0.497
6 Al 0.627 0.514 0.996
7 Al 0.374 0.510 0.494
8 Al 0.874 0.009 0.494
9 Al 0.626 0.510 0.494
10 Al 0.126 0.515 0.996
11 Al 0.629 0.008 0.492
12 Al 0.126 0.508 0.497
13 O 0.855 0.834 0.689
14 O 0.751 0.674 0.914
15 O 0.146 0.702 0.475
16 O 0.896 0.311 0.524
17 O 0.137 0.166 0.929
18 O 0.250 0.437 0.656
19 O 0.000 0.351 0.080
20 O 0.648 0.495 0.822
21 O 0.147 0.500 0.818
22 O 0.367 0.162 0.919
23 O 0.750 0.923 0.422
24 O 0.751 0.394 0.088
25 O 0.249 0.103 0.519
26 O 0.500 0.352 0.079
27 O 0.104 0.311 0.524
28 O 0.249 0.394 0.088
29 O 0.649 0.703 0.468
30 O 0.500 0.919 0.476
31 O 0.350 0.840 0.691
32 O 0.853 0.500 0.818
33 O 0.500 0.091 0.581
34 O 0.104 0.177 0.297
35 O 0.863 0.166 0.929
36 O 0.352 0.495 0.822
37 O 0.396 0.312 0.520
38 O 0.861 0.951 0.908
39 O 0.751 0.103 0.519
40 O 0.604 0.539 0.165
41 O 0.139 0.951 0.908
42 O 0.750 0.437 0.656
43 O 0.865 0.930 0.144
44 O 0.250 0.923 0.422
45 O 0.500 0.588 0.333
46 O 0.629 0.938 0.916
47 O 0.351 0.703 0.468
48 O 0.249 0.674 0.914
49 O 0.135 0.930 0.144
50 O 0.000 0.627 0.904
51 O 0.000 0.586 0.336
52 O 0.249 0.532 0.378
53 O 0.000 0.093 0.571
54 O 0.604 0.312 0.520
55 O 0.000 0.487 0.611
56 O 0.145 0.834 0.689
57 O 0.500 0.484 0.607
58 O 0.896 0.177 0.297
59 O 0.650 0.840 0.691
60 O 0.000 0.916 0.475
61 O 0.396 0.539 0.165
62 O 0.366 0.934 0.144
63 O 0.896 0.540 0.165
64 O 0.371 0.938 0.916
65 O 0.396 0.180 0.297
66 O 0.604 0.180 0.297
67 O 0.854 0.702 0.475
68 O 0.634 0.934 0.144
69 O 0.751 0.532 0.378
70 O 0.500 0.630 0.906
71 O 0.104 0.540 0.165
72 O 0.633 0.162 0.919
73 B 0.000 0.555 0.220
74 B 0.000 0.240 0.540
75 B 0.374 0.013 0.994
76 B 0.500 0.241 0.540
77 B 0.869 0.016 0.993
78 B 0.753 0.784 0.765
79 B 0.250 0.476 0.767
80 B 0.249 0.776 0.454
81 B 0.750 0.476 0.767
82 B 0.626 0.013 0.994
83 B 0.131 0.016 0.993
84 B 0.000 0.234 0.226
85 B 0.500 0.555 0.219
86 B 0.500 0.235 0.226
87 B 0.751 0.776 0.454
88 B 0.247 0.784 0.765
89 Ca 0.751 0.165 0.726
90 Ca 0.500 0.673 0.659
91 Ca 0.750 0.136 0.137
92 Ca 0.249 0.749 0.119
93 Ca 0.249 0.165 0.726
94 Ca 0.250 0.136 0.137
95 Ca 0.000 0.325 0.859
96 Ca 0.751 0.749 0.119
97 Ca 0.500 0.329 0.853
98 Ca 0.000 0.838 0.306
99 Ca 0.500 0.838 0.310
100 Ca 0.000 0.875 0.824
101 Y 0.250 0.343 0.328
102 Y 0.000 0.677 0.663
103 Y 0.500 0.870 0.816
104 Y 0.750 0.343 0.328

Values from the calculation:
The size of the total moment comes out at 0.000 μB per atom. The calculation puts the energy relative to the elements at -3.329 eV/atom. Its energy with MP2020 corrections is -8.12 eV per atom.



Record 4
# K6Al4Si6BH4ClO24

Crystalline K6Al4Si6BH4ClO24 at its relaxed geometry (PBE, Materials Project).

Unit cell a=9.983 b=9.983 c=13.238 alpha=90.00 beta=90.00 gamma=90.00
Element x y z (fractional)
1 Si 0.845 0.385 0.695
2 Si 0.000 0.500 0.508
3 Si 0.500 0.000 0.492
4 Si 0.500 0.000 0.992
5 Si 0.385 0.155 0.305
6 Si 0.345 0.115 0.805
7 Si 0.115 0.655 0.195
8 Si 0.885 0.345 0.195
9 Si 0.655 0.885 0.805
10 Si 0.615 0.845 0.305
11 Si 0.000 0.500 0.008
12 Si 0.155 0.615 0.695
13 H 0.976 0.822 0.569
14 H 0.024 0.178 0.569
15 H 0.476 0.678 0.931
16 H 0.322 0.476 0.069
17 H 0.678 0.524 0.069
18 H 0.524 0.322 0.931
19 H 0.822 0.024 0.431
20 H 0.178 0.976 0.431
21 Cl 0.000 0.000 0.000
22 Cl 0.500 0.500 0.500
23 O 0.450 0.194 0.732
24 O 0.422 0.598 0.938
25 O 0.189 0.464 0.734
26 O 0.902 0.078 0.438
27 O 0.036 0.311 0.234
28 O 0.811 0.536 0.734
29 O 0.602 0.089 0.059
30 O 0.896 0.414 0.079
31 O 0.806 0.450 0.268
32 O 0.689 0.036 0.766
33 O 0.089 0.398 0.941
34 O 0.194 0.550 0.268
35 O 0.898 0.589 0.441
36 O 0.396 0.086 0.421
37 O 0.604 0.914 0.421
38 O 0.098 0.922 0.438
39 O 0.801 0.208 0.183
40 O 0.598 0.578 0.062
41 O 0.586 0.896 0.921
42 O 0.792 0.801 0.817
43 O 0.414 0.104 0.921
44 O 0.050 0.694 0.768
45 O 0.402 0.422 0.062
46 O 0.536 0.189 0.266
47 O 0.078 0.098 0.562
48 O 0.292 0.699 0.683
49 O 0.911 0.602 0.941
50 O 0.104 0.586 0.079
51 O 0.550 0.806 0.732
52 O 0.914 0.396 0.579
53 O 0.398 0.911 0.059
54 O 0.589 0.102 0.559
55 O 0.199 0.792 0.183
56 O 0.699 0.708 0.317
57 O 0.950 0.306 0.768
58 O 0.102 0.411 0.441
59 O 0.311 0.964 0.766
60 O 0.411 0.898 0.559
61 O 0.694 0.950 0.232
62 O 0.922 0.902 0.562
63 O 0.964 0.689 0.234
64 O 0.086 0.604 0.579
65 O 0.708 0.301 0.683
66 O 0.301 0.292 0.317
67 O 0.578 0.402 0.938
68 O 0.306 0.050 0.232
69 O 0.464 0.811 0.266
70 O 0.208 0.199 0.817
71 K 0.792 0.224 0.942
72 K 0.276 0.708 0.442
73 K 0.292 0.276 0.558
74 K 0.000 0.000 0.753
75 K 0.724 0.292 0.442
76 K 0.000 0.000 0.247
77 K 0.224 0.208 0.058
78 K 0.208 0.776 0.942
79 K 0.500 0.500 0.747
80 K 0.776 0.792 0.058
81 K 0.708 0.724 0.558
82 K 0.500 0.500 0.253
83 Al 0.388 0.846 0.686
84 Al 0.846 0.612 0.314
85 Al 0.346 0.888 0.186
86 Al 0.112 0.346 0.814
87 Al 0.888 0.654 0.814
88 Al 0.654 0.112 0.186
89 Al 0.154 0.388 0.314
90 Al 0.612 0.154 0.686
91 B 0.500 0.500 0.000
92 B 0.000 0.000 0.500

Values from the calculation:
The size of the total moment comes out at 0.000 μB per atom. The calculation puts the energy relative to the elements at -2.855 eV/atom. Its energy with MP2020 corrections is -7.10 eV per atom.



Record 5
# Al20Co3B6

Crystalline Al20Co3B6 at its relaxed geometry (PBE, Materials Project).

Unit cell a=8.031 b=8.031 c=8.031 alpha=60.00 beta=60.00 gamma=60.00
Element x y z (fractional)
1 Al 0.623 0.130 0.623
2 Al 0.336 0.664 0.000
3 Al 0.664 0.336 0.000
4 Al 0.000 0.000 0.336
5 Al 0.000 0.664 0.336
6 Al 0.377 0.870 0.377
7 Al 0.377 0.377 0.377
8 Al 0.000 0.664 0.000
9 Al 0.130 0.623 0.623
10 Al 0.336 0.000 0.664
11 Al 0.000 0.336 0.664
12 Al 0.870 0.377 0.377
13 Al 0.000 0.000 0.664
14 Al 0.377 0.377 0.870
15 Al 0.623 0.623 0.623
16 Al 0.623 0.623 0.130
17 Al 0.664 0.000 0.336
18 Al 0.664 0.000 0.000
19 Al 0.336 0.000 0.000
20 Al 0.000 0.336 0.000
21 B 0.717 0.283 0.283
22 B 0.283 0.283 0.717
23 B 0.717 0.283 0.717
24 B 0.283 0.717 0.717
25 B 0.283 0.717 0.283
26 B 0.717 0.717 0.283
27 Co 0.750 0.750 0.750
28 Co 0.250 0.250 0.250
29 Co 0.000 0.000 0.000

Values from the calculation:
The size of the total moment comes out at 0.007 μB per atom. The calculation puts the energy relative to the elements at 0.096 eV/atom.



Record 6
# CsAlBP2HO9

Crystalline CsAlBP2HO9 at its relaxed geometry (PBE, Materials Project).

Unit cell a=8.817 b=9.362 c=9.596 alpha=75.43 beta=90.00 gamma=90.00
Element x y z (fractional)
1 O 0.525 0.189 0.040
2 O 0.010 0.426 0.309
3 O 0.634 0.835 0.189
4 O 0.328 0.925 0.744
5 O 0.718 0.837 0.443
6 O 0.451 0.701 0.764
7 O 0.819 0.595 0.170
8 O 0.510 0.574 0.191
9 O 0.490 0.426 0.809
10 O 0.782 0.837 0.943
11 O 0.475 0.811 0.960
12 O 0.025 0.811 0.460
13 O 0.134 0.165 0.311
14 O 0.951 0.299 0.736
15 O 0.990 0.574 0.691
16 O 0.102 0.071 0.768
17 O 0.398 0.071 0.268
18 O 0.172 0.925 0.244
19 O 0.656 0.578 0.939
20 O 0.549 0.299 0.236
21 O 0.844 0.578 0.439
22 O 0.898 0.929 0.232
23 O 0.602 0.929 0.732
24 O 0.319 0.405 0.330
25 O 0.049 0.701 0.264
26 O 0.366 0.165 0.811
27 O 0.866 0.835 0.689
28 O 0.975 0.189 0.540
29 O 0.681 0.595 0.670
30 O 0.344 0.422 0.061
31 O 0.828 0.075 0.756
32 O 0.218 0.163 0.057
33 O 0.282 0.163 0.557
34 O 0.181 0.405 0.830
35 O 0.672 0.075 0.256
36 O 0.156 0.422 0.561
37 H 0.445 0.894 0.998
38 H 0.945 0.106 0.502
39 H 0.555 0.106 0.002
40 H 0.055 0.894 0.498
41 Al 0.154 0.303 0.428
42 Al 0.846 0.697 0.572
43 Al 0.346 0.303 0.928
44 Al 0.654 0.697 0.072
45 P 0.574 0.572 0.799
46 P 0.074 0.428 0.701
47 P 0.772 0.911 0.783
48 P 0.926 0.572 0.299
49 P 0.728 0.911 0.283
50 P 0.426 0.428 0.201
51 P 0.272 0.089 0.717
52 P 0.228 0.089 0.217
53 B 0.967 0.156 0.701
54 B 0.533 0.156 0.201
55 B 0.467 0.844 0.799
56 B 0.033 0.844 0.299
57 Cs 0.618 0.305 0.557
58 Cs 0.118 0.695 0.943
59 Cs 0.882 0.305 0.057
60 Cs 0.382 0.695 0.443

Values from the calculation:
The calculation puts the energy relative to the elements at -2.765 eV/atom. Its energy with MP2020 corrections is -7.44 eV per atom.